[1]
CoSe2: optimized geometry, r²SCAN.

abc: 4.8554 5.8796 3.6559
angles: 90.00 90.00 90.00
Atoms (fractional coordinates):
Co: 0.0000 0.0000 0.0000
Co: 0.5000 0.5000 0.5000
Se: 0.2055 0.3751 0.0000
Se: 0.2945 0.8751 0.5000
Se: 0.7055 0.1249 0.5000
Se: 0.7945 0.6249 0.0000

Summary:
magnetization = 1.0 μB per formula unit
formation energy = -1.04 eV per formula unit

---

[2]
CoSe2: optimized geometry, r²SCAN.

abc: 6.8647 6.8647 6.8647
angles: 60.00 60.00 60.00
Atoms (fractional coordinates):
Co: 0.0000 0.0000 0.0000
Co: 0.0000 0.0000 0.5000
Co: 0.0000 0.5000 0.0000
Co: 0.5000 0.0000 0.0000
Se: 0.2276 0.7575 0.7575
Se: 0.2425 0.2425 0.2425
Se: 0.2425 0.2425 0.7724
Se: 0.2425 0.7724 0.2425
Se: 0.7575 0.2276 0.7575
Se: 0.7575 0.7575 0.2276
Se: 0.7575 0.7575 0.7575
Se: 0.7724 0.2425 0.2425

Summary:
magnetization = 0.0 μB per formula unit
formation energy = -0.82 eV per formula unit

---

[3]
Co3Se4: optimized geometry, r²SCAN.

abc: 7.0473 7.0473 7.0473
angles: 119.88 119.88 90.21
Atoms (fractional coordinates):
Co: 0.0000 0.0000 0.0000
Co: 0.0000 0.0000 0.5000
Co: 0.0000 0.5000 0.0000
Co: 0.3750 0.6250 0.7500
Co: 0.5000 0.0000 0.5000
Co: 0.6250 0.3750 0.2500
Se: 0.2154 0.2389 0.9765
Se: 0.2376 0.7611 0.4765
Se: 0.2389 0.2154 0.4765
Se: 0.2389 0.7624 0.0235
Se: 0.7611 0.2376 0.9765
Se: 0.7611 0.7846 0.5235
Se: 0.7624 0.2389 0.5235
Se: 0.7846 0.7611 0.0235

Summary:
magnetization = 0.0 μB per formula unit
formation energy = -2.45 eV per formula unit
excess energy over the best structure of this formula in the dataset = 0 meV/atom

---

[4]
Co2Sn3Se3: optimized geometry, r²SCAN.

abc: 8.7258 8.7258 8.7258
angles: 90.11 90.11 90.11
Atoms (fractional coordinates):
Co: 0.2412 0.7450 0.7387
Co: 0.2427 0.2427 0.2427
Co: 0.2550 0.2613 0.7588
Co: 0.2613 0.7588 0.2550
Co: 0.7387 0.2412 0.7450
Co: 0.7450 0.7387 0.2412
Co: 0.7573 0.7573 0.7573
Co: 0.7588 0.2550 0.2613
Sn: 0.9999 0.1564 0.6721
Sn: 0.0001 0.8436 0.3279
Sn: 0.1564 0.6721 0.9999
Sn: 0.1727 0.5015 0.3439
Sn: 0.3279 0.0001 0.8436
Sn: 0.3439 0.1727 0.5015
Sn: 0.4985 0.6561 0.8273
Sn: 0.5015 0.3439 0.1727
Sn: 0.6561 0.8273 0.4985
Sn: 0.6721 0.9999 0.1564
Sn: 0.8273 0.4985 0.6561
Sn: 0.8436 0.3279 0.0001
Se: 0.0031 0.1544 0.3406
Se: 0.1544 0.3406 0.0031
Se: 0.1597 0.4987 0.6547
Se: 0.3406 0.0031 0.1544
Se: 0.3453 0.8403 0.5013
Se: 0.4987 0.6547 0.1597
Se: 0.5013 0.3453 0.8403
Se: 0.6547 0.1597 0.4987
Se: 0.6594 0.9969 0.8456
Se: 0.8403 0.5013 0.3453
Se: 0.8456 0.6594 0.9969
Se: 0.9969 0.8456 0.6594

Summary:
magnetization = 0.0 μB per formula unit
formation energy = -2.82 eV per formula unit

---

Among the records above, which one has the lowest formation energy? Co2Sn3Se3

---

Copy entry 4 word for word.
Co2Sn3Se3: optimized geometry, r²SCAN.

abc: 8.7258 8.7258 8.7258
angles: 90.11 90.11 90.11
Atoms (fractional coordinates):
Co: 0.2412 0.7450 0.7387
Co: 0.2427 0.2427 0.2427
Co: 0.2550 0.2613 0.7588
Co: 0.2613 0.7588 0.2550
Co: 0.7387 0.2412 0.7450
Co: 0.7450 0.7387 0.2412
Co: 0.7573 0.7573 0.7573
Co: 0.7588 0.2550 0.2613
Sn: 0.9999 0.1564 0.6721
Sn: 0.0001 0.8436 0.3279
Sn: 0.1564 0.6721 0.9999
Sn: 0.1727 0.5015 0.3439
Sn: 0.3279 0.0001 0.8436
Sn: 0.3439 0.1727 0.5015
Sn: 0.4985 0.6561 0.8273
Sn: 0.5015 0.3439 0.1727
Sn: 0.6561 0.8273 0.4985
Sn: 0.6721 0.9999 0.1564
Sn: 0.8273 0.4985 0.6561
Sn: 0.8436 0.3279 0.0001
Se: 0.0031 0.1544 0.3406
Se: 0.1544 0.3406 0.0031
Se: 0.1597 0.4987 0.6547
Se: 0.3406 0.0031 0.1544
Se: 0.3453 0.8403 0.5013
Se: 0.4987 0.6547 0.1597
Se: 0.5013 0.3453 0.8403
Se: 0.6547 0.1597 0.4987
Se: 0.6594 0.9969 0.8456
Se: 0.8403 0.5013 0.3453
Se: 0.8456 0.6594 0.9969
Se: 0.9969 0.8456 0.6594

Summary:
magnetization = 0.0 μB per formula unit
formation energy = -2.82 eV per formula unit